## U (GGA-PBE)

Data for an optimized crystal structure of U.

abc: 2.665 2.665 2.681
angles: 90.00 90.00 90.00
Fractional coordinates of all 1 atoms:
U  0.000  0.000  0.000

- energy relative to the elements (meV per atom) = 166
- SG = P4/mmm (123)
- energy above the most stable polymorph in this dataset (eV/f.u.) = 0.17

## Y2HfO5 (GGA-PBE)

Data for an optimized crystal structure of Y2HfO5.

abc: 6.520 6.520 7.697
angles: 110.82 110.82 50.16
Fractional coordinates of all 16 atoms:
Y  0.135  0.143  0.248
Y  0.143  0.135  0.748
Y  0.857  0.865  0.252
Y  0.865  0.857  0.752
Hf  0.500  0.500  0.000
Hf  0.500  0.500  0.500
O  0.101  0.751  0.044
O  0.175  0.477  0.355
O  0.249  0.899  0.456
O  0.324  0.676  0.750
O  0.477  0.175  0.855
O  0.523  0.825  0.145
O  0.676  0.324  0.250
O  0.751  0.101  0.544
O  0.825  0.523  0.645
O  0.899  0.249  0.956

- energy relative to the elements (meV per atom) = -3960
- SG = C2/c (15)
- corrected total energy (MP2020 scheme) (eV/atom) = -9.91
- energy above the most stable polymorph in this dataset (eV/f.u.) = 0.22

## CsYMg6O8 (GGA-PBE)

Data for an optimized crystal structure of CsYMg6O8.

abc: 4.712 4.712 9.436
angles: 90.00 90.00 90.00
Fractional coordinates of all 16 atoms:
Cs  0.000  0.000  0.000
Y  0.000  0.000  0.500
Mg  0.000  0.500  0.244
Mg  0.000  0.500  0.756
Mg  0.500  0.000  0.244
Mg  0.500  0.000  0.756
Mg  0.500  0.500  0.000
Mg  0.500  0.500  0.500
O  0.000  0.000  0.275
O  0.000  0.000  0.725
O  0.000  0.500  0.000
O  0.000  0.500  0.500
O  0.500  0.000  0.000
O  0.500  0.000  0.500
O  0.500  0.500  0.253
O  0.500  0.500  0.747

- energy relative to the elements (meV per atom) = -2369
- SG = P4/mmm (123)
- corrected total energy (MP2020 scheme) (eV/atom) = -5.90
- energy above the most stable polymorph in this dataset (eV/f.u.) = 1.32